# 1
PmMgRh2 (GGA-PBE, relaxed); uncorrected energy = -23.45 eV per formula unit; symmetry = Fm-3m; formation energy = -2.37 eV/f.u.
1.0
6.686 0.000 0.000
0.000 6.686 0.000
0.000 0.000 6.686
Pm Mg Rh
4 4 8
direct
0.000 0.000 0.000
0.000 0.500 0.500
0.500 0.000 0.500
0.500 0.500 0.000
0.000 0.000 0.500
0.000 0.500 0.000
0.500 0.000 0.000
0.500 0.500 0.500
0.250 0.250 0.250
0.250 0.250 0.750
0.250 0.750 0.250
0.250 0.750 0.750
0.750 0.250 0.250
0.750 0.250 0.750
0.750 0.750 0.250
0.750 0.750 0.750


# 2
LiZn13 (GGA-PBE, relaxed); uncorrected energy = -18.76 eV per formula unit; symmetry = Fm-3c; formation energy = -0.47 eV/f.u.
1.0
0.000 6.135 6.135
6.135 0.000 6.135
6.135 6.135 0.000
Li Zn
2 26
direct
0.250 0.250 0.250
0.750 0.750 0.750
0.000 0.000 0.000
0.061 0.300 0.700
0.061 0.700 0.939
0.061 0.939 0.300
0.200 0.439 0.800
0.200 0.561 0.439
0.200 0.800 0.561
0.300 0.061 0.939
0.300 0.700 0.061
0.300 0.939 0.700
0.439 0.200 0.561
0.439 0.561 0.800
0.439 0.800 0.200
0.500 0.500 0.500
0.561 0.200 0.800
0.561 0.439 0.200
0.561 0.800 0.439
0.700 0.061 0.300
0.700 0.300 0.939
0.700 0.939 0.061
0.800 0.200 0.439
0.800 0.439 0.561
0.800 0.561 0.200
0.939 0.061 0.700
0.939 0.300 0.061
0.939 0.700 0.300


# 3
Al4C3 (GGA-PBE, relaxed); uncorrected energy = -43.31 eV per formula unit; symmetry = R-3m; formation energy = -0.64 eV/f.u.
1.0
1.677 0.968 8.372
-1.677 0.968 8.372
0.000 -1.936 8.372
Al C
4 3
direct
0.130 0.130 0.130
0.293 0.293 0.293
0.707 0.707 0.707
0.870 0.870 0.870
0.000 0.000 0.000
0.217 0.217 0.217
0.783 0.783 0.783


# 4
Er3Si6Pd20 (GGA-PBE, relaxed); uncorrected energy = -174.06 eV per formula unit; symmetry = Fm-3m; formation energy = -24.20 eV/f.u.
1.0
0.000 6.153 6.153
6.153 0.000 6.153
6.153 6.153 0.000
Er Si Pd
3 6 20
direct
0.000 0.000 0.000
0.250 0.250 0.250
0.750 0.750 0.750
0.267 0.267 0.733
0.267 0.733 0.267
0.267 0.733 0.733
0.733 0.267 0.267
0.733 0.267 0.733
0.733 0.733 0.267
0.000 0.000 0.345
0.000 0.000 0.655
0.000 0.345 0.000
0.000 0.345 0.655
0.000 0.655 0.000
0.000 0.655 0.345
0.151 0.616 0.616
0.345 0.000 0.000
0.345 0.000 0.655
0.345 0.655 0.000
0.384 0.384 0.384
0.384 0.384 0.849
0.384 0.849 0.384
0.616 0.151 0.616
0.616 0.616 0.151
0.616 0.616 0.616
0.655 0.000 0.000
0.655 0.000 0.345
0.655 0.345 0.000
0.849 0.384 0.384


# 5
Mg14AlMo (GGA-PBE, relaxed); uncorrected energy = -35.51 eV per formula unit; total magnetization = 0.61 μB per formula unit; symmetry = P-6m2; formation energy = 1.48 eV/f.u.
1.0
6.259 0.000 0.000
-3.129 5.420 0.000
0.000 0.000 9.971
Mg Al Mo
14 1 1
direct
0.000 0.000 0.249
0.000 0.000 0.751
0.015 0.507 0.246
0.015 0.507 0.754
0.333 0.167 0.500
0.334 0.167 0.000
0.493 0.507 0.246
0.493 0.507 0.754
0.493 0.985 0.246
0.493 0.985 0.754
0.833 0.167 0.000
0.833 0.167 0.500
0.833 0.666 0.000
0.833 0.667 0.500
0.333 0.667 0.500
0.333 0.667 0.000


# 6
InAgO2 (GGA-PBE, relaxed); uncorrected energy = -19.69 eV per formula unit; symmetry = R-3m; formation energy = -5.59 eV/f.u.
1.0
3.333 0.000 0.000
-1.666 2.886 0.000
0.000 0.000 19.204
In Ag O
3 3 6
direct
0.000 0.000 0.000
0.333 0.667 0.667
0.667 0.333 0.333
0.000 0.000 0.500
0.333 0.667 0.167
0.667 0.333 0.833
0.000 0.000 0.390
0.000 0.000 0.610
0.333 0.667 0.057
0.333 0.667 0.277
0.667 0.333 0.723
0.667 0.333 0.943


# 7
Y2Hg2O5 (GGA-PBE, relaxed); uncorrected energy = -56.43 eV per formula unit; total magnetization = 0.00 μB per formula unit; symmetry = Pna2_1; formation energy = -21.58 eV/f.u.
1.0
11.863 0.000 0.000
0.000 3.575 0.000
0.000 0.000 13.402
Y Hg O
8 8 20
direct
0.031 0.236 0.000
0.219 0.240 0.668
0.281 0.740 0.168
0.469 0.736 0.500
0.531 0.264 0.000
0.719 0.260 0.668
0.781 0.760 0.168
0.969 0.764 0.500
0.003 0.300 0.269
0.246 0.200 0.398
0.254 0.700 0.898
0.497 0.800 0.769
0.503 0.200 0.269
0.746 0.300 0.398
0.754 0.800 0.898
0.997 0.700 0.769
0.063 0.261 0.437
0.100 0.746 0.624
0.125 0.238 0.834
0.150 0.738 0.044
0.187 0.242 0.230
0.313 0.742 0.730
0.350 0.238 0.544
0.375 0.738 0.334
0.400 0.246 0.124
0.437 0.761 0.937
0.563 0.239 0.437
0.600 0.754 0.624
0.625 0.262 0.834
0.650 0.762 0.044
0.687 0.258 0.230
0.813 0.758 0.730
0.850 0.262 0.544
0.875 0.762 0.334
0.900 0.254 0.124
0.937 0.739 0.937


# 8
AlV3 (GGA-PBE, relaxed); uncorrected energy = -31.53 eV per formula unit; symmetry = Pm-3n; formation energy = -0.54 eV/f.u.
1.0
4.809 0.000 0.000
0.000 4.809 0.000
0.000 0.000 4.809
Al V
2 6
direct
0.000 0.000 0.000
0.500 0.500 0.500
0.000 0.250 0.500
0.000 0.750 0.500
0.250 0.500 0.000
0.500 0.000 0.250
0.500 0.000 0.750
0.750 0.500 0.000